Entry 1:
Below is a geometry-optimized Li4V3P8O29 structure, with properties calculated at the PBE with a Hubbard U level.

a b c (Å): 9.8109 9.8109 14.0154
angles (deg): 90.11 90.11 59.91
Closest atoms and distances in Å follow each position.
Element x y z (fractional)
Li  0.0426  0.6330  0.8110  4 O 1.99-2.21
Li  0.0439  0.0439  0.3098  3 O 1.92-2.06
Li  0.3670  0.9574  0.1890  4 O 1.99-2.21
Li  0.3685  0.4034  0.6889  4 O 1.99-2.21
Li  0.4969  0.4062  0.1920  3 O 1.89-2.11
Li  0.5938  0.5031  0.8080  3 O 1.89-2.11
Li  0.5966  0.6315  0.3111  4 O 1.99-2.21
Li  0.9561  0.9561  0.6902  3 O 1.92-2.06
V  0.2665  0.2949  0.4953  6 O 1.82-2.01
V  0.2679  0.1614  0.9943  6 O 1.82-1.99
V  0.7051  0.7335  0.5047  6 O 1.82-2.01
V  0.7078  0.2922  0.0000  6 O 1.88-2.00
V  0.8386  0.7321  0.0057  6 O 1.82-1.99
V  0.8427  0.1573  0.5000  6 O 1.91-1.97
P  0.0434  0.0455  0.0918  4 O 1.48-1.62
P  0.0435  0.6399  0.5908  4 O 1.50-1.59
P  0.1873  0.4955  0.0915  4 O 1.47-1.64
P  0.1894  0.0415  0.5949  3 O 1.47-1.58
P  0.3600  0.4090  0.9077  4 O 1.50-1.60
P  0.3601  0.9565  0.4092  4 O 1.50-1.59
P  0.5037  0.4061  0.4096  4 O 1.50-1.62
P  0.5045  0.8127  0.9085  4 O 1.47-1.64
P  0.5910  0.6400  0.0923  4 O 1.50-1.60
P  0.5939  0.4963  0.5904  4 O 1.50-1.62
P  0.6003  0.0629  0.1224  4 O 1.48-1.61
P  0.6051  0.0643  0.6225  4 O 1.49-1.62
P  0.9357  0.3949  0.3775  4 O 1.49-1.62
P  0.9371  0.3997  0.8776  4 O 1.48-1.61
P  0.9545  0.9566  0.9082  4 O 1.48-1.62
P  0.9585  0.8106  0.4051  3 O 1.47-1.58
O  0.0171  0.6380  0.0846  1 P 1.55
O  0.0195  0.0667  0.5890  1 P 1.56
O  0.0289  0.9584  0.8171  1 P 1.48
O  0.0313  0.7241  0.6824  1 P 1.50
O  0.0374  0.7218  0.3185  1 P 1.47
O  0.0416  0.9711  0.1829  1 P 1.48
O  0.0620  0.7305  0.5026  2 P 1.59-1.65
O  0.0631  0.9369  0.0000  2 P 1.62
O  0.0872  0.3936  0.4242  1 P 1.62
O  0.0878  0.2484  0.9238  1 P 1.61
O  0.1814  0.2020  0.5706  1 P 1.58
O  0.1817  0.3422  0.0722  1 P 1.55
O  0.1897  0.4718  0.5889  1 P 1.55
O  0.1920  0.0658  0.0851  1 P 1.57
O  0.2690  0.5202  0.9964  2 P 1.60-1.64
O  0.2695  0.9380  0.4974  2 P 1.59-1.65
O  0.2730  0.4822  0.8170  1 P 1.50
O  0.2759  0.9687  0.3176  1 P 1.50
O  0.2779  0.4894  0.1768  1 P 1.47
O  0.2782  0.9626  0.6815  1 P 1.47
O  0.3579  0.3847  0.4168  1 P 1.55
O  0.3620  0.9829  0.9154  1 P 1.55
O  0.3703  0.1084  0.4264  1 P 1.56
O  0.3700  0.2482  0.9267  1 P 1.55
O  0.4546  0.0568  0.0802  1 P 1.58
O  0.4554  0.2132  0.5813  1 P 1.57
O  0.4798  0.7310  0.0036  2 P 1.60-1.64
O  0.4817  0.5183  0.5000  2 P 1.62
O  0.5105  0.4860  0.3201  1 P 1.50
O  0.5106  0.7221  0.8232  1 P 1.47
O  0.5140  0.4895  0.6799  1 P 1.50
O  0.5178  0.7270  0.1830  1 P 1.50
O  0.5262  0.3896  0.9092  1 P 1.54
O  0.5282  0.8103  0.4111  1 P 1.55
O  0.6003  0.2122  0.0832  1 P 1.57
O  0.6040  0.0535  0.2282  1 P 1.48
O  0.6059  0.0597  0.7284  1 P 1.49
O  0.6064  0.9128  0.5758  1 P 1.62
O  0.6104  0.4738  0.0908  1 P 1.54
O  0.6153  0.6421  0.5832  1 P 1.55
O  0.6539  0.2473  0.4255  1 P 1.53
O  0.6578  0.8183  0.9278  1 P 1.55
O  0.7518  0.6300  0.0733  1 P 1.55
O  0.7516  0.9122  0.0762  1 P 1.61
O  0.7527  0.3461  0.5745  1 P 1.53
O  0.7600  0.0535  0.5829  1 P 1.57
O  0.7868  0.5446  0.4187  1 P 1.57
O  0.7878  0.3997  0.9168  1 P 1.57
O  0.7935  0.1068  0.9268  1 P 1.55
O  0.7980  0.8186  0.4294  1 P 1.58
O  0.8916  0.6297  0.5736  1 P 1.56
O  0.8932  0.2065  0.0732  1 P 1.55
O  0.9333  0.9805  0.4110  1 P 1.56
O  0.9342  0.8080  0.9149  1 P 1.57
O  0.9403  0.3941  0.2716  1 P 1.49
O  0.9432  0.5454  0.9198  1 P 1.58
O  0.9465  0.2400  0.4171  1 P 1.57
O  0.9465  0.3960  0.7718  1 P 1.48

Summary:
The calculation puts the offset from the most stable computed form at 0.0182 eV per atom. The calculated volume comes out at 1167 Å³ per cell. Its space group is C2 (5). The formation energy is -2.565 eV per atom.

Entry 2:
Below is a geometry-optimized BaSrW4O12 structure, with properties calculated at the PBE with a Hubbard U level.

a b c (Å): 5.6446 5.6446 8.1053
angles (deg): 90.00 90.00 90.00
Closest atoms and distances in Å follow each position.
Element x y z (fractional)
Ba  0.0000  0.0000  0.0000  12 O 2.82-2.90
Sr  0.5000  0.5000  0.5000  12 O 2.79-2.82
W  0.0000  0.5000  0.2520  6 O 2.00-2.04
W  0.0000  0.5000  0.7480  6 O 2.00-2.04
W  0.5000  0.0000  0.2520  6 O 2.00-2.04
W  0.5000  0.0000  0.7480  6 O 2.00-2.04
O  0.0000  0.5000  0.0000  2 W 2.04
O  0.0000  0.5000  0.5000  2 W 2.01
O  0.2550  0.2550  0.2544  2 W 2.00
O  0.2550  0.2550  0.7456  2 W 2.00
O  0.2550  0.7450  0.2544  2 W 2.00
O  0.2550  0.7450  0.7456  2 W 2.00
O  0.5000  0.0000  0.0000  2 W 2.04
O  0.5000  0.0000  0.5000  2 W 2.01
O  0.7450  0.2550  0.2544  2 W 2.00
O  0.7450  0.2550  0.7456  2 W 2.00
O  0.7450  0.7450  0.2544  2 W 2.00
O  0.7450  0.7450  0.7456  2 W 2.00

Summary:
The calculated volume comes out at 258 Å³ per cell. Its space group is P4/mmm (123). The formation energy is -2.392 eV per atom.

Entry 3:
Below is a geometry-optimized Li2CrO4 structure, with properties calculated at the PBE with a Hubbard U level.

a b c (Å): 6.6592 5.3615 5.0682
angles (deg): 90.00 90.00 90.00
Closest atoms and distances in Å follow each position.
Element x y z (fractional)
Li  0.2464  0.1780  0.0000  4 O 1.99-2.01
Li  0.2536  0.8220  0.5000  4 O 1.99-2.01
Li  0.7464  0.8220  0.5000  4 O 1.99-2.01
Li  0.7536  0.1780  0.0000  4 O 1.99-2.01
Cr  0.0000  0.6781  0.0092  4 O 1.66-1.67
Cr  0.5000  0.3219  0.5092  4 O 1.66-1.67
O  0.0000  0.3789  0.9234  1 Cr 1.66
O  0.0000  0.7039  0.3361  1 Cr 1.66
O  0.2032  0.8217  0.8918  1 Cr 1.67
O  0.2968  0.1783  0.3918  1 Cr 1.67
O  0.5000  0.2961  0.8361  1 Cr 1.66
O  0.5000  0.6211  0.4234  1 Cr 1.66
O  0.7032  0.1783  0.3918  1 Cr 1.67
O  0.7968  0.8217  0.8918  1 Cr 1.67

Summary:
The calculation puts the offset from the most stable computed form at 0.0203 eV per atom. The calculated volume comes out at 181 Å³ per cell. The largest piezoelectric modulus is 0.7 C/m2. Its space group is Pmn2_1 (31). The formation energy is -2.068 eV per atom.

Entry 4:
Below is a geometry-optimized Mn4FeO5 structure, with properties calculated at the PBE with a Hubbard U level.

a b c (Å): 11.2663 11.2663 11.2663
angles (deg): 163.81 163.81 22.97
Closest atoms and distances in Å follow each position.
Element x y z (fractional)
Mn  0.0971  0.0971  0.0000  6 O 2.14-2.26
Mn  0.3010  0.3010  0.0000  6 O 2.24-2.27
Mn  0.6990  0.6990  0.0000  6 O 2.24-2.27
Mn  0.9029  0.9029  0.0000  6 O 2.14-2.26
Fe  0.5000  0.5000  0.0000  6 O 2.12-2.24
O  0.0000  0.0000  0.0000  2 Mn 2.14, 4 Fe 2.24
O  0.1995  0.1995  0.0000  6 Mn 2.24-2.26
O  0.4040  0.4040  0.0000  1 Fe 2.12, 5 Mn 2.24-2.27
O  0.5960  0.5960  0.0000  1 Fe 2.12, 5 Mn 2.24-2.27
O  0.8005  0.8005  0.0000  6 Mn 2.24-2.26

Summary:
The calculated volume comes out at 111 Å³ per cell. Its space group is I4/mmm (139). The formation energy is -1.838 eV per atom.

Entry 5:
Below is a geometry-optimized Pr3BWO9 structure, with properties calculated at the PBE with a Hubbard U level.

a b c (Å): 8.8498 8.8498 5.6310
angles (deg): 90.00 90.00 120.00
Closest atoms and distances in Å follow each position.
Element x y z (fractional)
Pr  0.0818  0.7247  0.0000  6 O 2.38-2.58
Pr  0.2753  0.3572  0.0000  6 O 2.38-2.58
Pr  0.3572  0.0818  0.5000  6 O 2.38-2.58
Pr  0.6428  0.9182  0.0000  6 O 2.38-2.58
Pr  0.7247  0.6428  0.5000  6 O 2.38-2.58
Pr  0.9182  0.2753  0.5000  6 O 2.38-2.58
B  0.0000  0.0000  0.1630  3 O 1.38
B  0.0000  0.0000  0.6630  3 O 1.38
W  0.3333  0.6667  0.5428  6 O 1.92-2.01
W  0.6667  0.3333  0.0428  6 O 1.92-2.01
O  0.0469  0.8725  0.6552  1 B 1.38
O  0.1275  0.1744  0.6552  1 B 1.38
O  0.1369  0.5200  0.7654  1 W 2.01
O  0.1744  0.0469  0.1552  1 B 1.38
O  0.2042  0.4684  0.3399  1 W 1.92
O  0.2642  0.7958  0.3399  1 W 1.92
O  0.3830  0.8631  0.7654  1 W 2.01
O  0.4684  0.2642  0.8399  1 W 1.92
O  0.4800  0.6170  0.7654  1 W 2.01
O  0.5200  0.3830  0.2654  1 W 2.01
O  0.5316  0.7358  0.3399  1 W 1.92
O  0.6170  0.1369  0.2654  1 W 2.01
O  0.7358  0.2042  0.8399  1 W 1.92
O  0.7958  0.5316  0.8399  1 W 1.92
O  0.8256  0.9531  0.6552  1 B 1.38
O  0.8631  0.4800  0.2654  1 W 2.01
O  0.8725  0.8256  0.1552  1 B 1.38
O  0.9531  0.1275  0.1552  1 B 1.38

Summary:
The calculated volume comes out at 382 Å³ per cell. Its space group is P6_3 (173). The formation energy is -3.315 eV per atom.

Entry 6:
Below is a geometry-optimized Li2MnF4 structure, with properties calculated at the PBE with a Hubbard U level.

a b c (Å): 5.9286 5.9286 5.4343
angles (deg): 93.07 93.07 58.39
Closest atoms and distances in Å follow each position.
Element x y z (fractional)
Li  0.0530  0.3514  0.2830  4 F 1.92-2.04
Li  0.3514  0.0530  0.7830  4 F 1.92-2.04
Li  0.6486  0.9470  0.2170  4 F 1.92-2.04
Li  0.9470  0.6486  0.7170  4 F 1.92-2.04
Mn  0.3393  0.6607  0.2500  6 F 2.12-2.20
Mn  0.6607  0.3393  0.7500  6 F 2.12-2.20
F  0.0174  0.2812  0.6182  3 Li 1.92-2.04, 1 Mn 2.12
F  0.2700  0.5013  0.9115  1 Li 1.92, 1 Mn 2.14
F  0.2812  0.0174  0.1182  3 Li 1.92-2.04, 1 Mn 2.12
F  0.4987  0.7300  0.5885  1 Li 1.92, 1 Mn 2.14
F  0.5013  0.2700  0.4115  1 Li 1.92, 1 Mn 2.14
F  0.7188  0.9826  0.8818  3 Li 1.92-2.04, 1 Mn 2.12
F  0.7300  0.4987  0.0885  1 Li 1.92, 1 Mn 2.14
F  0.9826  0.7188  0.3818  3 Li 1.92-2.04, 1 Mn 2.12

Summary:
The calculation puts the offset from the most stable computed form at 0.0025 eV per atom. The calculated volume comes out at 162 Å³ per cell. Its space group is C2/c (15). The formation energy is -3.055 eV per atom.

Entry 7:
Below is a geometry-optimized CoH4SeClO6 structure, with properties calculated at the PBE with a Hubbard U level.

a b c (Å): 7.0862 7.1875 7.6189
angles (deg): 66.38 69.22 72.96
Closest atoms and distances in Å follow each position.
Element x y z (fractional)
Co  0.0000  0.0000  0.0000  4 O 1.74-1.93
Co  0.5000  0.5000  0.5000  4 O 1.91-2.06
H  0.0032  0.8803  0.3754  1 O 0.99
H  0.1185  0.8846  0.6746  1 O 1.00
H  0.3454  0.1646  0.5980  1 O 0.98
H  0.4181  0.2490  0.3621  1 O 0.99
H  0.5819  0.7510  0.6379  1 O 0.99
H  0.6546  0.8354  0.4020  1 O 0.98
H  0.8815  0.1154  0.3254  1 O 1.00
H  0.9968  0.1197  0.6246  1 O 0.99
Se  0.2919  0.2954  0.9781  3 O 1.66-1.78
Se  0.7081  0.7046  0.0219  3 O 1.66-1.78
Cl  0.1343  0.6283  0.6014  2 H 2.09-2.18
Cl  0.8657  0.3717  0.3986  2 H 2.09-2.18
O  0.0906  0.0162  0.7022  2 H 0.99-1.00
O  0.1205  0.7431  0.0644  1 Co 1.74
O  0.2587  0.0789  0.9420  1 Se 1.78, 1 Co 1.93
O  0.3936  0.1877  0.1699  1 Se 1.66, 1 H 1.76
O  0.4447  0.2413  0.4846  2 H 0.98-0.99
O  0.4995  0.3641  0.7732  1 Se 1.74, 1 Co 1.91
O  0.5005  0.6359  0.2268  1 Se 1.74, 1 Co 1.91
O  0.5553  0.7587  0.5154  2 H 0.98-0.99
O  0.6064  0.8123  0.8301  1 Se 1.66, 1 H 1.76
O  0.7413  0.9211  0.0580  1 Se 1.78, 1 Co 1.93
O  0.8795  0.2569  0.9356  1 Co 1.74
O  0.9094  0.9838  0.2978  2 H 0.99-1.00

Summary:
The calculated volume comes out at 327 Å³ per cell. Its space group is P-1 (2). The formation energy is -0.949 eV per atom.

Entry 8:
Below is a geometry-optimized NaCoP2HO7 structure, with properties calculated at the PBE with a Hubbard U level.

a b c (Å): 6.5809 6.5897 18.6500
angles (deg): 84.53 85.92 88.01
Closest atoms and distances in Å follow each position.
Element x y z (fractional)
Na  0.0000  0.0000  0.0000  6 O 2.39-2.67, 1 H 2.56
Na  0.0296  0.2684  0.4988  3 O 2.33-2.46, 1 H 2.49
Na  0.3321  0.9990  0.3338  6 O 2.39-2.66, 1 H 2.57
Na  0.4342  0.3111  0.8265  6 O 2.39-2.67, 1 H 2.56
Na  0.6651  0.9985  0.6671  6 O 2.38-2.65, 1 H 2.56
Na  0.6962  0.2684  0.1656  3 O 2.33-2.46, 1 H 2.49
Co  0.2069  0.8006  0.6188  6 O 2.04-2.29
Co  0.2213  0.5108  0.2077  6 O 2.06-2.30
Co  0.5406  0.8005  0.9517  6 O 2.04-2.27
Co  0.5542  0.5102  0.5405  5 O 2.05-2.19
Co  0.8740  0.7992  0.2851  6 O 2.04-2.28
Co  0.8931  0.5100  0.8750  6 O 2.05-2.28
P  0.1762  0.5363  0.0350  4 O 1.50-1.61
P  0.2175  0.0129  0.1732  4 O 1.53-1.62
P  0.2169  0.2982  0.6529  4 O 1.52-1.62
P  0.2576  0.7749  0.7917  4 O 1.51-1.61
P  0.5102  0.5366  0.3680  4 O 1.51-1.61
P  0.5505  0.0125  0.5065  4 O 1.53-1.62
P  0.5501  0.2967  0.9863  4 O 1.52-1.62
P  0.5913  0.7724  0.1252  4 O 1.51-1.62
P  0.8430  0.5358  0.7013  4 O 1.51-1.61
P  0.8830  0.2974  0.3194  4 O 1.52-1.62
P  0.8840  0.0139  0.8399  4 O 1.52-1.62
P  0.9250  0.7730  0.4583  4 O 1.51-1.61
H  0.2123  0.9378  0.4801  1 O 1.08
H  0.2253  0.3724  0.3469  1 O 1.06
H  0.5428  0.9390  0.8137  1 O 1.07
H  0.5583  0.3719  0.6792  1 O 1.07
H  0.8788  0.9379  0.1467  1 O 1.08
H  0.8919  0.3725  0.0138  1 O 1.06
O  0.0175  0.4509  0.9861  1 H 1.06
O  0.0184  0.7693  0.3822  1 P 1.51
O  0.0268  0.3687  0.7058  2 P 1.61-1.62
O  0.0428  0.0602  0.1235  1 H 1.39, 1 P 1.53
O  0.0562  0.2469  0.3696  1 H 1.43, 1 P 1.53
O  0.0743  0.9425  0.7872  2 P 1.61-1.62
O  0.0814  0.8616  0.5074  1 H 1.08
O  0.0847  0.5441  0.1109  1 P 1.50
O  0.1460  0.1197  0.6157  1 P 1.52
O  0.1686  0.8288  0.2297  1 P 1.56
O  0.1790  0.5767  0.8303  1 P 1.52
O  0.2553  0.7340  0.9954  1 P 1.52
O  0.2659  0.4849  0.5978  1 P 1.55
O  0.2923  0.1915  0.2097  1 P 1.53
O  0.3509  0.4508  0.3194  1 H 1.06
O  0.3515  0.7702  0.7155  1 P 1.51
O  0.3598  0.3681  0.0392  2 P 1.61-1.62
O  0.3761  0.0603  0.4570  1 H 1.39, 1 P 1.53
O  0.3911  0.2480  0.7027  1 H 1.41, 1 P 1.53
O  0.4082  0.9418  0.1205  2 P 1.62
O  0.4162  0.8594  0.8408  1 H 1.07
O  0.4183  0.5446  0.4444  1 P 1.51
O  0.4803  0.1190  0.9484  1 P 1.52
O  0.5013  0.8283  0.5629  1 P 1.56
O  0.5106  0.5767  0.1640  1 P 1.51
O  0.5883  0.7338  0.3289  1 P 1.52
O  0.5990  0.4828  0.9305  1 P 1.56
O  0.6258  0.1908  0.5432  1 P 1.53
O  0.6850  0.4506  0.6521  1 H 1.07
O  0.6849  0.7691  0.0486  1 P 1.52
O  0.6932  0.3683  0.3725  2 P 1.61-1.62
O  0.7098  0.0619  0.7900  1 H 1.41, 1 P 1.53
O  0.7227  0.2476  0.0366  1 H 1.42, 1 P 1.53
O  0.7415  0.9416  0.4539  2 P 1.61-1.62
O  0.7482  0.8617  0.1739  1 H 1.08
O  0.7493  0.5411  0.7776  1 P 1.51
O  0.8122  0.1191  0.2821  1 P 1.52
O  0.8354  0.8277  0.8957  1 P 1.56
O  0.8439  0.5764  0.4974  1 P 1.52
O  0.9211  0.7341  0.6628  1 P 1.52
O  0.9312  0.4843  0.2643  1 P 1.55
O  0.9534  0.1919  0.8775  1 P 1.52

Summary:
The calculated volume comes out at 803 Å³ per cell. Its space group is P1 (1). The formation energy is -2.306 eV per atom.

Which of these has the lowest calculated volume?
Mn4FeO5

Among the records above, which one has the highest calculated volume?
Li4V3P8O29